Entry 1:
A plane-wave DFT calculation with PBE was carried out for a relaxed structure of LiSi3BiO8.

Lattice parameters (Å, degrees): 7.677 7.677 13.481 94.03 94.03 115.47
Sites, in units of the cell vectors:
Li  0.054  0.370  0.183
Li  0.370  0.054  0.683
Li  0.630  0.946  0.317
Li  0.946  0.630  0.817
Si  0.048  0.255  0.405
Si  0.150  0.357  0.823
Si  0.255  0.048  0.905
Si  0.326  0.418  0.614
Si  0.357  0.150  0.323
Si  0.418  0.326  0.114
Si  0.582  0.674  0.886
Si  0.643  0.850  0.677
Si  0.674  0.582  0.386
Si  0.745  0.952  0.095
Si  0.850  0.643  0.177
Si  0.952  0.745  0.595
Bi  0.275  0.712  0.433
Bi  0.288  0.725  0.067
Bi  0.712  0.275  0.933
Bi  0.725  0.288  0.567
O  0.042  0.613  0.159
O  0.094  0.432  0.334
O  0.120  0.153  0.865
O  0.132  0.825  0.920
O  0.153  0.120  0.365
O  0.172  0.379  0.515
O  0.175  0.868  0.580
O  0.190  0.355  0.705
O  0.301  0.458  0.112
O  0.344  0.543  0.883
O  0.355  0.190  0.205
O  0.379  0.172  0.015
O  0.387  0.958  0.341
O  0.432  0.094  0.834
O  0.457  0.656  0.617
O  0.458  0.301  0.612
O  0.542  0.699  0.388
O  0.543  0.344  0.383
O  0.568  0.906  0.166
O  0.613  0.042  0.659
O  0.621  0.828  0.985
O  0.645  0.810  0.795
O  0.656  0.457  0.117
O  0.699  0.542  0.888
O  0.810  0.645  0.295
O  0.825  0.132  0.420
O  0.828  0.621  0.485
O  0.847  0.880  0.635
O  0.868  0.175  0.080
O  0.880  0.847  0.135
O  0.906  0.568  0.666
O  0.958  0.387  0.841

Computed properties:
SG: C2/c
calculated formation energy: -2.815 eV per atom
polymorph energy (0 for the lowest one): 0.00 eV per formula unit
total energy: -7.1350 eV/atom

Entry 2:
A plane-wave DFT calculation with PBE was carried out for a relaxed structure of K4NpS2ClO10.

Lattice parameters (Å, degrees): 10.238 4.582 15.729 90.00 115.95 90.00
Sites, in units of the cell vectors:
K  0.065  0.228  0.130
K  0.065  0.772  0.630
K  0.332  0.236  0.893
K  0.332  0.764  0.393
K  0.668  0.236  0.607
K  0.668  0.764  0.107
K  0.935  0.228  0.370
K  0.935  0.772  0.870
Np  0.500  0.262  0.250
Np  0.500  0.738  0.750
S  0.296  0.343  0.569
S  0.296  0.657  0.069
S  0.704  0.343  0.931
S  0.704  0.657  0.431
Cl  0.000  0.267  0.750
Cl  0.000  0.733  0.250
O  0.150  0.251  0.556
O  0.150  0.749  0.056
O  0.311  0.331  0.081
O  0.311  0.669  0.581
O  0.327  0.255  0.490
O  0.327  0.745  0.990
O  0.349  0.261  0.285
O  0.349  0.739  0.785
O  0.414  0.229  0.662
O  0.414  0.771  0.162
O  0.586  0.229  0.838
O  0.586  0.771  0.338
O  0.651  0.261  0.215
O  0.651  0.739  0.715
O  0.673  0.255  0.010
O  0.673  0.745  0.510
O  0.689  0.331  0.419
O  0.689  0.669  0.919
O  0.850  0.251  0.944
O  0.850  0.749  0.444

Computed properties:
SG: P2/c
calculated formation energy: -2.446 eV per atom
total energy: -6.3416 eV/atom

Entry 3:
A plane-wave DFT calculation with PBE was carried out for a relaxed structure of HfNi3.

Lattice parameters (Å, degrees): 7.107 7.107 7.107 43.51 43.51 43.51
Sites, in units of the cell vectors:
Hf  0.000  0.000  0.000
Hf  0.219  0.219  0.219
Hf  0.781  0.781  0.781
Ni  0.000  0.500  0.500
Ni  0.244  0.713  0.713
Ni  0.287  0.287  0.756
Ni  0.287  0.756  0.287
Ni  0.500  0.000  0.500
Ni  0.500  0.500  0.000
Ni  0.713  0.244  0.713
Ni  0.713  0.713  0.244
Ni  0.756  0.287  0.287

Computed properties:
SG: R-3m
calculated formation energy: -0.536 eV per atom
total energy: -7.3605 eV/atom

Entry 4:
A plane-wave DFT calculation with PBE was carried out for a relaxed structure of ZrVCr.

Lattice parameters (Å, degrees): 5.135 5.135 5.135 121.85 118.22 89.97
Sites, in units of the cell vectors:
Zr  0.373  0.123  0.250
Zr  0.627  0.877  0.750
V  0.000  0.500  0.500
V  0.500  0.500  0.000
Cr  0.000  0.000  0.500
Cr  0.000  0.500  0.000

Computed properties:
SG: Imma
calculated formation energy: -0.018 eV per atom
total energy: -9.1130 eV/atom

Entry 5:
A plane-wave DFT calculation with PBE was carried out for a relaxed structure of Ca2Al4Si4H18O25.

Lattice parameters (Å, degrees): 9.877 10.429 10.719 91.24 90.23 92.30
Sites, in units of the cell vectors:
Ca  0.000  0.000  0.000
Ca  0.207  0.418  0.474
Ca  0.510  0.960  0.695
Ca  0.784  0.426  0.240
Al  0.006  0.258  0.767
Al  0.049  0.793  0.491
Al  0.165  0.596  0.028
Al  0.197  0.106  0.250
Al  0.522  0.766  0.252
Al  0.558  0.284  0.005
Al  0.673  0.593  0.742
Al  0.722  0.089  0.470
Si  0.000  0.600  0.786
Si  0.054  0.097  0.528
Si  0.195  0.710  0.309
Si  0.389  0.262  0.791
Si  0.501  0.593  0.002
Si  0.528  0.088  0.233
Si  0.680  0.289  0.704
Si  0.708  0.781  0.500
H  0.005  0.924  0.717
H  0.028  0.398  0.018
H  0.040  0.245  0.189
H  0.125  0.905  0.216
H  0.145  0.447  0.810
H  0.205  0.375  0.206
H  0.215  0.056  0.736
H  0.246  0.070  0.873
H  0.261  0.800  0.694
H  0.265  0.274  0.979
H  0.322  0.597  0.831
H  0.322  0.943  0.460
H  0.331  0.827  0.036
H  0.343  0.461  0.221
H  0.362  0.704  0.746
H  0.371  0.889  0.047
H  0.386  0.217  0.410
H  0.386  0.636  0.445
H  0.437  0.444  0.698
H  0.482  0.949  0.459
H  0.487  0.271  0.511
H  0.489  0.596  0.543
H  0.700  0.078  0.020
H  0.705  0.014  0.837
H  0.713  0.942  0.211
H  0.724  0.479  0.995
H  0.773  0.760  0.062
H  0.793  0.482  0.494
H  0.805  0.164  0.947
H  0.840  0.691  0.296
H  0.850  0.735  0.939
H  0.860  0.470  0.461
H  0.865  0.928  0.784
H  0.917  0.222  0.388
H  0.935  0.675  0.610
H  0.959  0.649  0.205
O  0.027  0.675  0.651
O  0.060  0.446  0.762
O  0.062  0.174  0.890
O  0.074  0.948  0.578
O  0.085  0.667  0.898
O  0.102  0.207  0.635
O  0.120  0.434  0.014
O  0.129  0.667  0.173
O  0.130  0.225  0.157
O  0.132  0.849  0.352
O  0.135  0.636  0.434
O  0.142  0.129  0.405
O  0.148  0.972  0.154
O  0.264  0.429  0.265
O  0.284  0.032  0.797
O  0.337  0.602  0.990
O  0.355  0.404  0.737
O  0.357  0.257  0.945
O  0.357  0.787  0.701
O  0.360  0.722  0.306
O  0.375  0.123  0.267
O  0.396  0.284  0.477
O  0.400  0.570  0.509
O  0.402  0.975  0.507
O  0.537  0.446  0.041
O  0.555  0.933  0.227
O  0.562  0.142  0.091
O  0.562  0.252  0.827
O  0.564  0.684  0.115
O  0.568  0.627  0.868
O  0.634  0.150  0.339
O  0.634  0.727  0.373
O  0.635  0.183  0.597
O  0.635  0.435  0.677
O  0.648  0.705  0.624
O  0.669  0.933  0.527
O  0.744  0.304  0.046
O  0.779  0.072  0.961
O  0.806  0.431  0.015
O  0.818  0.955  0.207
O  0.830  0.276  0.757
O  0.834  0.802  0.002
O  0.839  0.594  0.801
O  0.856  0.993  0.324
O  0.860  0.635  0.223
O  0.871  0.761  0.487
O  0.893  0.129  0.507
O  0.911  0.273  0.310
O  0.958  0.905  0.798
O  0.987  0.397  0.339

Computed properties:
SG: P1
calculated formation energy: -1.998 eV per atom
polymorph energy (0 for the lowest one): 0.00 eV per formula unit
total energy: -5.9277 eV/atom

Entry 6:
A plane-wave DFT calculation with PBE was carried out for a relaxed structure of Na6Y3TaSi4S2O24.

Lattice parameters (Å, degrees): 9.360 9.362 23.230 89.72 89.51 60.16
Sites, in units of the cell vectors:
Na  0.000  0.000  0.000
Na  0.009  0.365  0.511
Na  0.235  0.756  0.499
Na  0.273  0.374  0.007
Na  0.284  0.064  0.596
Na  0.314  0.348  0.670
Na  0.329  0.030  0.097
Na  0.332  0.716  0.181
Na  0.605  0.766  0.015
Na  0.621  0.033  0.519
Na  0.633  0.389  0.758
Na  0.637  0.415  0.262
Na  0.661  0.030  0.842
Na  0.924  0.422  0.839
Na  0.943  0.082  0.682
Na  0.957  0.039  0.344
Na  0.975  0.724  0.921
Na  0.991  0.683  0.422
Y  0.279  0.056  0.441
Y  0.293  0.041  0.248
Y  0.295  0.040  0.942
Y  0.623  0.385  0.113
Y  0.631  0.373  0.614
Y  0.940  0.724  0.076
Y  0.948  0.699  0.280
Y  0.950  0.712  0.579
Y  0.951  0.717  0.778
Ta  0.293  0.053  0.750
Ta  0.605  0.383  0.902
Ta  0.616  0.380  0.408
Si  0.287  0.347  0.848
Si  0.290  0.740  0.347
Si  0.328  0.381  0.513
Si  0.329  0.671  0.010
Si  0.581  0.747  0.846
Si  0.624  0.091  0.008
Si  0.645  0.016  0.679
Si  0.646  0.720  0.175
Si  0.917  0.084  0.510
Si  0.966  0.401  0.681
Si  0.978  0.349  0.349
Si  0.987  0.056  0.848
S  0.252  0.416  0.176
S  0.254  0.727  0.678
S  0.591  0.058  0.348
S  0.624  0.667  0.508
S  0.912  0.383  0.007
S  0.959  0.011  0.179
O  0.004  0.477  0.622
O  0.068  0.219  0.297
O  0.078  0.273  0.409
O  0.080  0.237  0.005
O  0.082  0.036  0.907
O  0.095  0.077  0.792
O  0.106  0.053  0.507
O  0.113  0.022  0.181
O  0.118  0.737  0.341
O  0.132  0.526  0.838
O  0.136  0.212  0.690
O  0.146  0.548  0.510
O  0.153  0.752  0.625
O  0.154  0.670  0.009
O  0.160  0.494  0.122
O  0.166  0.525  0.226
O  0.174  0.696  0.728
O  0.260  0.882  0.686
O  0.263  0.270  0.906
O  0.268  0.252  0.182
O  0.270  0.849  0.404
O  0.299  0.858  0.007
O  0.319  0.213  0.793
O  0.322  0.210  0.508
O  0.327  0.817  0.289
O  0.417  0.403  0.174
O  0.420  0.583  0.672
O  0.423  0.370  0.572
O  0.438  0.592  0.068
O  0.445  0.394  0.459
O  0.446  0.545  0.954
O  0.450  0.859  0.793
O  0.456  0.552  0.359
O  0.458  0.884  0.178
O  0.459  0.072  0.008
O  0.460  0.031  0.691
O  0.467  0.347  0.849
O  0.485  0.837  0.501
O  0.486  0.083  0.298
O  0.515  0.852  0.904
O  0.522  0.032  0.401
O  0.596  0.598  0.560
O  0.597  0.562  0.851
O  0.604  0.214  0.353
O  0.606  0.209  0.677
O  0.608  0.203  0.063
O  0.621  0.557  0.179
O  0.639  0.195  0.949
O  0.639  0.562  0.457
O  0.723  0.914  0.619
O  0.730  0.728  0.113
O  0.761  0.713  0.228
O  0.762  0.923  0.340
O  0.764  0.720  0.836
O  0.770  0.935  0.732
O  0.781  0.671  0.510
O  0.792  0.197  0.455
O  0.792  0.360  0.357
O  0.795  0.910  0.007
O  0.806  0.237  0.851
O  0.809  0.370  0.679
O  0.812  0.401  0.955
O  0.814  0.177  0.175
O  0.834  0.363  0.059
O  0.838  0.193  0.567
O  0.921  0.907  0.511
O  0.928  0.534  0.010
O  0.946  0.535  0.344
O  0.946  0.909  0.839
O  0.946  0.928  0.231
O  0.952  0.509  0.737
O  0.978  0.910  0.127

Computed properties:
SG: P1
calculated formation energy: -2.903 eV per atom
total energy: -7.1891 eV/atom